# 1
Here is a geometry-optimized Li10CoSi2O10 structure from the Materials Project database. Energies are from PBE with a Hubbard U.

Spin magnetization   6.000 Bohr magnetons per cell
Space-group type   No. 1
Energy with MP2020 corrections   -284.56 eV for the cell shown
Formation energy   -55.751 eV per formula unit
Energy above the lowest structure with this stoichiometry   3 meV/atom
Final energy   -0.2137 Ha/atom

Lattice parameters (Å, degrees): 5.1844 6.1753 15.3448 101.61 99.13 90.00
Fractional coordinates of all 46 atoms:
Li 0.0000 0.0000 0.0000
Li 0.0000 0.4092 0.0000
Li 0.0409 0.3114 0.2137
Li 0.1812 0.9630 0.5168
Li 0.2161 0.2822 0.7313
Li 0.2161 0.8582 0.7313
Li 0.3325 0.5055 0.6019
Li 0.3528 0.5522 0.1274
Li 0.3528 0.9843 0.1274
Li 0.3746 0.1464 0.8837
Li 0.4339 0.3674 0.3257
Li 0.5075 0.1981 0.4760
Li 0.5075 0.6870 0.4760
Li 0.7142 0.0779 0.2550
Li 0.7142 0.5862 0.2550
Li 0.7860 0.9071 0.4051
Li 0.8440 0.1277 0.8463
Li 0.8695 0.2867 0.6038
Li 0.8695 0.7262 0.6038
Li 0.8860 0.7690 0.1289
Co 0.2355 0.6720 0.9349
Co 0.9742 0.5990 0.7888
Si 0.2397 0.8559 0.3027
Si 0.6000 0.0372 0.6652
Si 0.6184 0.2372 0.0652
Si 0.9803 0.4187 0.4283
O 0.0481 0.5413 0.6735
O 0.1093 0.3847 0.8659
O 0.1093 0.8904 0.8659
O 0.1616 0.7297 0.0502
O 0.2949 0.2326 0.0560
O 0.3006 0.4241 0.4390
O 0.3290 0.0561 0.2521
O 0.3290 0.6052 0.2521
O 0.3889 0.9089 0.4087
O 0.4740 0.7896 0.6014
O 0.4856 0.2214 0.6075
O 0.5039 0.0871 0.7650
O 0.7138 0.1874 0.9656
O 0.7357 0.0501 0.1223
O 0.7357 0.4814 0.1223
O 0.8307 0.3653 0.3214
O 0.8905 0.2218 0.4783
O 0.8905 0.6657 0.4783
O 0.9187 0.8504 0.2917
O 0.9242 0.0421 0.6750

# 2
Here is a geometry-optimized NaVO2F2 structure from the Materials Project database. Energies are from PBE with a Hubbard U.

Piezoelectric modulus e_max   3.09 C/m²
Spin magnetization   0.000 Bohr magnetons per cell
Space-group type   No. 4
Energy with MP2020 corrections   -80.66 eV for the cell shown
Formation energy   -16.199 eV per formula unit
Final energy   -0.2225 Ha/atom

Lattice parameters (Å, degrees): 6.5629 3.5755 7.3216 90.00 110.05 90.00
Fractional coordinates of all 12 atoms:
Na 0.1352 0.0000 0.2151
Na 0.8648 0.5000 0.7849
V 0.3614 0.0298 0.7852
V 0.6386 0.5298 0.2148
O 0.2148 0.0365 0.5567
O 0.4052 0.5130 0.8599
O 0.5948 0.0130 0.1401
O 0.7852 0.5365 0.4433
F 0.1210 0.0019 0.8826
F 0.3634 0.5015 0.2433
F 0.6366 0.0015 0.7567
F 0.8790 0.5019 0.1174

# 3
Here is a geometry-optimized LiMnBO3 structure from the Materials Project database. Energies are from PBE with a Hubbard U.

Spin magnetization   45.002 Bohr magnetons per cell
Space-group type   No. 1
Energy with MP2020 corrections   -425.46 eV for the cell shown
Formation energy   -14.679 eV per formula unit
Energy above the lowest structure with this stoichiometry   68 meV/atom
Final energy   -0.2667 Ha/atom

Lattice parameters (Å, degrees): 3.2442 14.4966 14.5013 119.95 90.05 90.05
Fractional coordinates of all 54 atoms:
Li 0.0000 0.0000 0.0000
Li 0.0010 0.3307 0.6805
Li 0.0035 0.9810 0.6275
Li 0.0082 0.3469 0.9917
Li 0.0358 0.3283 0.3138
Li 0.9433 0.6686 0.3334
Li 0.9814 0.0329 0.3312
Li 0.9905 0.6836 0.6614
Li 0.9982 0.6606 0.9777
Mn 0.4358 0.5824 0.1294
Mn 0.4728 0.8917 0.4121
Mn 0.4831 0.8857 0.1012
Mn 0.4866 0.8983 0.7754
Mn 0.4974 0.2289 0.0774
Mn 0.5057 0.2031 0.7684
Mn 0.5100 0.5601 0.7621
Mn 0.5208 0.2483 0.4575
Mn 0.5424 0.5324 0.4318
B 0.0267 0.4494 0.5589
B 0.4887 0.7737 0.5354
B 0.4912 0.4443 0.8871
B 0.4917 0.7810 0.8796
B 0.4941 0.4481 0.2130
B 0.4974 0.1143 0.5459
B 0.5014 0.1258 0.2160
B 0.9651 0.7924 0.2113
B 0.9933 0.1017 0.8680
O 0.0041 0.1107 0.7764
O 0.0104 0.5404 0.6586
O 0.0209 0.3487 0.5496
O 0.0483 0.4580 0.4685
O 0.4023 0.5433 0.9756
O 0.4189 0.1153 0.1167
O 0.4212 0.8721 0.6252
O 0.4272 0.5566 0.2577
O 0.4546 0.7632 0.4344
O 0.4792 0.1002 0.4438
O 0.4801 0.8875 0.9591
O 0.4807 0.3830 0.1039
O 0.4957 0.7013 0.9065
O 0.4998 0.7541 0.7730
O 0.5053 0.2163 0.6336
O 0.5078 0.0262 0.5600
O 0.5209 0.3537 0.8973
O 0.5279 0.2269 0.3067
O 0.5466 0.4350 0.7876
O 0.5545 0.0358 0.2255
O 0.5750 0.4055 0.2780
O 0.5949 0.6858 0.5457
O 0.9340 0.6935 0.2029
O 0.9748 0.8837 0.3119
O 0.9842 0.0017 0.8593
O 0.9863 0.8012 0.1203
O 0.9920 0.1921 0.9665

# 4
Here is a geometry-optimized MnCo3O8 structure from the Materials Project database. Energies are from PBE with a Hubbard U.

Spin magnetization   5.999 Bohr magnetons per cell
Space-group type   No. 166
Energy with MP2020 corrections   -84.38 eV for the cell shown
Formation energy   -14.306 eV per formula unit
Energy above the lowest structure with this stoichiometry   48 meV/atom
Final energy   -0.2214 Ha/atom

Lattice parameters (Å, degrees): 5.7193 5.7193 5.7193 58.98 58.98 58.98
Fractional coordinates of all 12 atoms:
Mn 0.0000 0.0000 0.0000
Co 0.0000 0.0000 0.5000
Co 0.0000 0.5000 0.0000
Co 0.5000 0.0000 0.0000
O 0.2054 0.7612 0.7612
O 0.2353 0.2353 0.2353
O 0.2388 0.2388 0.7946
O 0.2388 0.7946 0.2388
O 0.7612 0.2054 0.7612
O 0.7612 0.7612 0.2054
O 0.7647 0.7647 0.7647
O 0.7946 0.2388 0.2388

# 5
Here is a geometry-optimized NaMnO2 structure from the Materials Project database. Energies are from PBE with a Hubbard U.

Spin magnetization   15.996 Bohr magnetons per cell
Space-group type   No. 6
Energy with MP2020 corrections   -112.46 eV for the cell shown
Formation energy   -7.735 eV per formula unit
Energy above the lowest structure with this stoichiometry   97 meV/atom
Final energy   -0.2304 Ha/atom

Lattice parameters (Å, degrees): 5.8208 2.8864 11.4835 90.00 93.99 90.00
Fractional coordinates of all 16 atoms:
Na 0.0000 0.0000 0.0000
Na 0.0447 0.5000 0.4923
Na 0.4692 0.5000 0.7262
Na 0.6342 0.5000 0.2421
Mn 0.1444 0.0000 0.2344
Mn 0.4914 0.5000 0.9782
Mn 0.5432 0.5000 0.4841
Mn 0.9707 0.0000 0.7592
O 0.1347 0.5000 0.8487
O 0.2819 0.5000 0.3272
O 0.3789 0.0000 0.5614
O 0.4089 0.0000 0.0825
O 0.6276 0.0000 0.8899
O 0.7218 0.0000 0.4162
O 0.8458 0.5000 0.6649
O 0.9707 0.5000 0.1556

# 6
Here is a geometry-optimized Ba2MgW2O8 structure from the Materials Project database. Energies are from PBE with a Hubbard U.

Spin magnetization   2.020 Bohr magnetons per cell
Space-group type   No. 1
Energy with MP2020 corrections   -104.10 eV for the cell shown
Formation energy   -33.166 eV per formula unit
Energy above the lowest structure with this stoichiometry   61 meV/atom
Final energy   -0.2537 Ha/atom

Lattice parameters (Å, degrees): 6.5703 6.6932 7.0906 107.14 114.78 103.43
Fractional coordinates of all 13 atoms:
Ba 0.0000 0.0000 0.0000
Ba 0.2691 0.5424 0.8216
Mg 0.8592 0.0136 0.4032
W 0.4629 0.9990 0.5434
W 0.7330 0.4787 0.2846
O 0.2305 0.1242 0.5334
O 0.3749 0.8736 0.2312
O 0.3939 0.3251 0.0985
O 0.4940 0.8471 0.7269
O 0.7617 0.7033 0.1660
O 0.8114 0.1477 0.6640
O 0.8632 0.2539 0.2852
O 0.9115 0.6808 0.6011

The lowest final energy belongs to which entry? LiMnBO3

Look up the formation energy of the fourth one. -14.306 eV per formula unit

The highest energy with MP2020 corrections belongs to which entry? NaVO2F2